DFT (PBE) results for Tm2Ni15B9 after structural relaxation.

## Properties
**ΔH_f (0 K)**: -0.425 eV per atom
**Space-group type**: No. 64

a = 9.8151 Å, b = 9.8151 Å, c = 11.2271 Å
α = 90.00°, β = 90.00°, γ = 107.93°
Last column: nearest neighbours and their distance in Å.
Atoms (fractional coordinates):
Tm: 0.2596 0.2596 0.9578  13 Ni 2.71-2.97
Tm: 0.7404 0.7404 0.0422  13 Ni 2.71-2.97
Tm: 0.2404 0.2404 0.4578  13 Ni 2.71-2.97
Tm: 0.7596 0.7596 0.5422  13 Ni 2.71-2.97
Tm: 0.1904 0.6904 0.7500  6 B 2.76-2.93, 10 Ni 2.77-3.09
Tm: 0.3096 0.8096 0.2500  6 B 2.76-2.93, 10 Ni 2.77-3.09
Tm: 0.8096 0.3096 0.2500  6 B 2.76-2.93, 10 Ni 2.77-3.09
Tm: 0.6904 0.1904 0.7500  6 B 2.76-2.93, 10 Ni 2.77-3.09
Ni: 0.5000 0.5000 0.0000  6 B 2.33-2.50, 4 Ni 2.60
Ni: 0.0000 0.0000 0.5000  6 B 2.33-2.50, 4 Ni 2.60
Ni: 0.5000 0.5000 0.5000  4 B 2.01-2.14
Ni: 0.0000 0.0000 0.0000  4 B 2.01-2.14
Ni: 0.2338 0.2338 0.7123  3 B 2.05-2.09
Ni: 0.7662 0.7662 0.2877  3 B 2.05-2.09
Ni: 0.2662 0.2662 0.2123  3 B 2.05-2.09
Ni: 0.7338 0.7338 0.7877  3 B 2.05-2.09
Ni: 0.9299 0.4299 0.7500  4 B 2.02-2.08
Ni: 0.5701 0.0701 0.2500  4 B 2.02-2.08
Ni: 0.0701 0.5701 0.2500  4 B 2.02-2.08
Ni: 0.4299 0.9299 0.7500  4 B 2.02-2.08
Ni: 0.9890 0.1820 0.8399  4 B 2.14-2.23
Ni: 0.8180 0.0110 0.1601  4 B 2.14-2.23
Ni: 0.3180 0.5110 0.3399  4 B 2.14-2.23
Ni: 0.4890 0.6820 0.6601  4 B 2.14-2.23
Ni: 0.0110 0.8180 0.1601  4 B 2.14-2.23
Ni: 0.1820 0.9890 0.8399  4 B 2.14-2.23
Ni: 0.6820 0.4890 0.6601  4 B 2.14-2.23
Ni: 0.5110 0.3180 0.3399  4 B 2.14-2.23
Ni: 0.2569 0.4706 0.5968  4 B 1.96-2.15
Ni: 0.5294 0.7431 0.4032  4 B 1.96-2.15
Ni: 0.0294 0.2431 0.0968  4 B 1.96-2.15
Ni: 0.7569 0.9706 0.9032  4 B 1.96-2.15
Ni: 0.7431 0.5294 0.4032  4 B 1.96-2.15
Ni: 0.4706 0.2569 0.5968  4 B 1.96-2.15
Ni: 0.9706 0.7569 0.9032  4 B 1.96-2.15
Ni: 0.2431 0.0294 0.0968  4 B 1.96-2.15
Ni: 0.9957 0.2273 0.6176  5 B 2.07-2.15
Ni: 0.7727 0.0043 0.3824  5 B 2.07-2.15
Ni: 0.2727 0.5043 0.1176  5 B 2.07-2.15
Ni: 0.4957 0.7273 0.8824  5 B 2.07-2.15
Ni: 0.0043 0.7727 0.3824  5 B 2.07-2.15
Ni: 0.2273 0.9957 0.6176  5 B 2.07-2.15
Ni: 0.7273 0.4957 0.8824  5 B 2.07-2.15
Ni: 0.5043 0.2727 0.1176  5 B 2.07-2.15
Ni: 0.1068 0.4461 0.9155  4 B 2.02-2.15
Ni: 0.5539 0.8932 0.0845  4 B 2.02-2.15
Ni: 0.0539 0.3932 0.4155  4 B 2.02-2.15
Ni: 0.6068 0.9461 0.5845  4 B 2.02-2.15
Ni: 0.8932 0.5539 0.0845  4 B 2.02-2.15
Ni: 0.4461 0.1068 0.9155  4 B 2.02-2.15
Ni: 0.9461 0.6068 0.5845  4 B 2.02-2.15
Ni: 0.3932 0.0539 0.4155  4 B 2.02-2.15
Ni: 0.3308 0.4896 0.8061  4 B 1.98-2.13
Ni: 0.5104 0.6692 0.1939  4 B 1.98-2.13
Ni: 0.0104 0.1692 0.3061  4 B 1.98-2.13
Ni: 0.8308 0.9896 0.6939  4 B 1.98-2.13
Ni: 0.6692 0.5104 0.1939  4 B 1.98-2.13
Ni: 0.4896 0.3308 0.8061  4 B 1.98-2.13
Ni: 0.9896 0.8308 0.6939  4 B 1.98-2.13
Ni: 0.1692 0.0104 0.3061  4 B 1.98-2.13
Ni: 0.8376 0.3629 0.5303  3 B 2.03-2.13
Ni: 0.6371 0.1624 0.4697  3 B 2.03-2.13
Ni: 0.1371 0.6624 0.0303  3 B 2.03-2.13
Ni: 0.3376 0.8629 0.9697  3 B 2.03-2.13
Ni: 0.1624 0.6371 0.4697  3 B 2.03-2.13
Ni: 0.3629 0.8376 0.5303  3 B 2.03-2.13
Ni: 0.8629 0.3376 0.9697  3 B 2.03-2.13
Ni: 0.6624 0.1371 0.0303  3 B 2.03-2.13
B: 0.3651 0.6349 0.5000  7 Ni 1.96-2.14
B: 0.8651 0.1349 0.0000  7 Ni 1.96-2.14
B: 0.6349 0.3651 0.5000  7 Ni 1.96-2.14
B: 0.1349 0.8651 0.0000  7 Ni 1.96-2.14
B: 0.4517 0.4517 0.6718  1 B 1.88, 3 Ni 2.01-2.02
B: 0.5483 0.5483 0.3282  1 B 1.88, 3 Ni 2.01-2.02
B: 0.0483 0.0483 0.1718  1 B 1.88, 3 Ni 2.01-2.02
B: 0.9517 0.9517 0.8282  1 B 1.88, 3 Ni 2.01-2.02
B: 0.0565 0.0565 0.6996  1 B 1.88, 3 Ni 2.05-2.11
B: 0.9435 0.9435 0.3004  1 B 1.88, 3 Ni 2.05-2.11
B: 0.4435 0.4435 0.1996  1 B 1.88, 3 Ni 2.05-2.11
B: 0.5565 0.5565 0.8004  1 B 1.88, 3 Ni 2.05-2.11
B: 0.1203 0.3783 0.7449  1 B 1.99, 6 Ni 2.05-2.15
B: 0.6217 0.8797 0.2551  1 B 1.99, 6 Ni 2.05-2.15
B: 0.1217 0.3797 0.2449  1 B 1.99, 6 Ni 2.05-2.15
B: 0.6203 0.8783 0.7551  1 B 1.99, 6 Ni 2.05-2.15
B: 0.8797 0.6217 0.2551  1 B 1.99, 6 Ni 2.05-2.15
B: 0.3783 0.1203 0.7449  1 B 1.99, 6 Ni 2.05-2.15
B: 0.8783 0.6203 0.7551  1 B 1.99, 6 Ni 2.05-2.15
B: 0.3797 0.1217 0.2449  1 B 1.99, 6 Ni 2.05-2.15
B: 0.2976 0.5936 0.9488  1 B 1.70
B: 0.4064 0.7024 0.0512  1 B 1.70
B: 0.9064 0.2024 0.4488  1 B 1.70
B: 0.7976 0.0936 0.5512  1 B 1.70
B: 0.7024 0.4064 0.0512  1 B 1.70
B: 0.5936 0.2976 0.9488  1 B 1.70
B: 0.0936 0.7976 0.5512  1 B 1.70
B: 0.2024 0.9064 0.4488  1 B 1.70
B: 0.0489 0.4507 0.6002  1 B 1.99, 6 Ni 1.99-2.15
B: 0.5493 0.9511 0.3998  1 B 1.99, 6 Ni 1.99-2.15
B: 0.0493 0.4511 0.1002  1 B 1.99, 6 Ni 1.99-2.15
B: 0.5489 0.9507 0.8998  1 B 1.99, 6 Ni 1.99-2.15
B: 0.9511 0.5493 0.3998  1 B 1.99, 6 Ni 1.99-2.15
B: 0.4507 0.0489 0.6002  1 B 1.99, 6 Ni 1.99-2.15
B: 0.9507 0.5489 0.8998  1 B 1.99, 6 Ni 1.99-2.15
B: 0.4511 0.0493 0.1002  1 B 1.99, 6 Ni 1.99-2.15